Here is a geometry-optimized Li7Mn4CoO12 structure from the Materials Project. Energies are from PBE with a Hubbard U.

The structure in POSCAR format:
```
Li7Mn4CoO12
1.0
5.299 -0.121 0.025
-1.956 7.308 -1.473
0.026 -0.028 5.711
O Li Mn Co
12 7 4 1
direct
0.908 0.150 0.290
0.405 0.176 0.060
0.350 0.151 0.522
0.623 0.833 0.458
0.044 0.834 0.209
0.581 0.809 0.960
0.758 0.517 0.377
0.086 0.858 0.707
0.317 0.516 0.145
0.262 0.490 0.606
0.904 0.149 0.783
0.762 0.517 0.884
0.492 0.016 0.750
0.333 0.333 0.833
0.787 0.317 0.074
0.175 0.651 0.916
0.164 0.658 0.418
0.880 0.349 0.592
0.503 0.009 0.249
0.658 0.658 0.668
0.008 0.009 0.998
0.669 0.662 0.166
0.997 0.005 0.501
0.333 0.333 0.333
```

Properties
DFT total energy, eV/atom: -6.223
SG: P-1 (2)
Formation energy, eV per atom: -2.0589
Energy relative to the lowest polymorph listed for this composition, meV/atom: 25
Total moment, μB/f.u.: 0.007

***

Here is a geometry-optimized Li4MnCo2O7 structure from the Materials Project. Energies are from PBE with a Hubbard U.

The structure in POSCAR format:
```
Li4MnCo2O7
1.0
-2.578 3.729 2.119
-3.742 1.309 -3.196
-7.630 -5.102 5.476
O Li Mn Co
14 8 2 4
direct
0.855 0.769 0.727
0.696 0.210 0.134
0.533 0.233 0.424
0.314 0.780 0.870
0.034 0.772 0.427
0.413 0.235 0.726
0.763 0.769 0.990
0.266 0.212 0.001
0.177 0.776 0.138
0.600 0.777 0.273
0.102 0.237 0.282
0.472 0.772 0.567
0.958 0.233 0.567
0.820 0.220 0.870
0.073 0.506 0.845
0.649 0.499 0.704
0.141 0.002 0.711
0.928 0.499 0.149
0.781 0.501 0.434
0.506 0.498 0.999
0.349 0.502 0.293
0.215 0.498 0.573
0.005 0.994 0.997
0.576 0.998 0.854
0.707 0.004 0.579
0.428 0.998 0.142
0.279 0.003 0.435
0.858 0.002 0.289
```

Properties
DFT total energy, eV/atom: -5.854
SG: P1 (1)
Formation energy, eV per atom: -1.8615
Energy relative to the lowest polymorph listed for this composition, meV/atom: 22
Total moment, μB/f.u.: 3.000